No. 1
28
Lattice="0.973 -2.485 7.509 -3.989 3.545 5.919 -5.894 -3.872 3.711" Properties=species:S:1:pos:R:3 comment="Fe2Mo4N PBE relaxed" sg="Fd-3m, No. 227" pbc="T T T"
Mo -1.114 -0.351 2.142
Fe -1.045 0.319 4.470
Fe -8.851 -0.902 10.670
Mo -4.275 0.503 7.548
N -3.574 -3.530 7.753
Mo -5.010 -2.357 6.697
Fe -3.260 -0.128 3.245
Mo -0.627 -1.594 5.897
N -6.055 -0.515 6.957
Mo -6.128 -1.158 14.728
Mo -7.237 -3.060 10.982
Mo -6.862 -4.018 13.877
Mo -3.108 1.421 5.102
Fe -4.199 0.038 13.243
Fe -8.192 -2.585 15.757
N -5.569 -1.757 10.712
Mo -3.900 -0.455 10.443
Mo -8.775 -1.693 13.263
Fe -2.946 -0.930 5.667
Mo -4.061 -2.287 3.998
Fe -5.489 -4.986 11.748
Mo -2.362 -1.822 8.161
Mo -6.548 -0.990 8.979
Fe -1.659 -2.073 3.758
N -2.622 0.179 8.856
Mo -4.635 -3.315 9.592
Mo -6.503 -0.200 11.832
Mo -4.590 -2.525 12.446

No. 2
12
Lattice="1.646 -2.852 0.000 1.646 2.852 0.000 0.000 0.000 15.676" Properties=species:S:1:pos:R:3 comment="MgO PBE relaxed" sg="P3m1, No. 156" piezo_max_c_m2=1.6 pbc="T T T"
O 1.646 0.951 2.330
O 0.000 0.000 4.916
O 1.646 0.951 7.507
Mg 0.000 0.000 13.374
Mg 1.646 -0.951 10.755
O 0.000 0.000 10.132
O 0.000 0.000 15.395
Mg 1.646 0.951 5.512
Mg 0.000 0.000 8.114
Mg 0.000 0.000 2.924
O 1.646 -0.951 12.760
Mg 1.646 0.951 0.336

No. 3
40
Lattice="0.660 1.977 7.489 -2.765 6.039 -4.040 -4.875 -6.018 -0.672" Properties=species:S:1:pos:R:3 comment="Al2O3 PBE relaxed" sg="Ia-3, No. 206" pbc="T T T"
O -0.736 1.732 -0.742
O -2.523 -0.461 2.188
O -2.044 -1.192 5.253
O -3.667 1.559 3.222
O -5.494 0.844 -1.583
Al -3.859 -1.863 1.974
O -5.103 -1.544 -2.183
O -4.166 -2.278 0.096
O -4.458 2.459 0.589
O -2.814 4.276 2.682
O -5.515 3.345 3.139
O -1.877 3.542 4.960
Al -4.954 -0.697 -0.521
O -4.927 -0.283 1.382
Al -1.867 6.012 2.409
Al -3.241 -2.728 5.244
Al -2.922 -0.016 4.093
O -2.053 2.281 1.396
O -6.917 1.734 0.773
O -4.937 3.189 -2.475
Al -4.058 2.014 -1.316
Al -3.490 0.999 1.389
O -1.466 -1.347 -0.361
Al -3.739 4.726 -2.466
Al -5.113 -4.015 0.369
Al 0.330 0.988 3.745
Al -1.091 2.135 6.054
O -3.313 0.439 -0.445
Al -3.122 3.860 0.804
O -6.244 0.266 3.520
O -4.041 -1.586 3.815
Al -2.438 -3.009 -0.336
Al -1.383 3.019 -2.020
Al -2.027 2.695 3.299
O -4.953 -3.364 2.197
O -2.939 3.584 -1.037
O -0.063 0.264 2.005
O -2.028 5.361 0.580
O -1.487 1.154 4.361
Al -5.890 -0.137 -3.276

No. 4
18
Lattice="-6.229 5.738 -4.978 -2.422 -9.310 1.993 -2.805 1.967 5.777" Properties=species:S:1:pos:R:3 comment="La5CuBi3 PBE relaxed" sg="P6_3/mcm, No. 193" pbc="T T T"
Bi -6.026 -1.706 -0.393
Bi -1.633 -3.088 2.211
Bi -5.431 0.102 3.185
La -8.511 -1.170 2.122
La -5.094 -3.310 2.558
La -5.315 4.742 -2.243
La -4.960 0.722 -2.654
La -6.363 1.706 0.234
La -2.496 -6.403 2.921
Bi -5.938 5.007 1.269
La -3.720 2.963 3.042
La -2.945 -0.435 0.670
Cu 0.000 0.000 0.000
Cu -1.403 0.983 2.889
Bi -3.595 -4.254 5.560
La -3.691 -4.294 -0.331
Bi -3.097 2.698 -0.470
La -2.732 -0.939 4.850

No. 5
2
Lattice="-1.690 1.690 2.060 1.690 -1.690 2.060 1.690 1.690 -2.060" Properties=species:S:1:pos:R:3 comment="H PBE relaxed" sg="I4/mmm, No. 139" e_above_lowest_polymorph_ev_per_fu=0.001 pbc="T T T"
H 0.000 0.000 0.375
H 0.000 0.000 3.745

No. 6
6
Lattice="-3.758 0.805 1.630 1.345 -1.288 3.736 1.493 4.745 1.099" Properties=species:S:1:pos:R:3 comment="MgNbTlO3 PBE relaxed" sg="P4/mmm, No. 123" pbc="T T T"
O 1.419 1.728 2.418
O -1.132 2.775 1.365
O -1.207 -0.242 2.683
Nb -0.460 2.131 3.232
Mg 0.746 2.372 0.550
Tl 0.000 0.000 0.000

Number 1: formation energy from the elements -136.9 meV per atom, VASP energy -9.894 eV per atom. Number 2: formation energy from the elements -2967.5 meV per atom, VASP energy -5.898 eV per atom. Number 3: formation energy from the elements -3396.8 meV per atom, VASP energy -7.452 eV per atom. Number 4: formation energy from the elements -750.0 meV per atom, VASP energy -5.244 eV per atom. Number 5: formation energy from the elements 1.4 meV per atom, VASP energy -3.391 eV per atom. Number 6: formation energy from the elements -1579.6 meV per atom, VASP energy -6.054 eV per atom.